[1]
The following is a DFT calculation (r2SCAN) of Rb3PS4 after structural relaxation.

Geometry as POSCAR:
```
Rb3PS4
1.0
-6.807 -2.608 -5.825
0.501 -8.720 3.320
-7.534 2.494 7.687
S P Rb
16 4 12
Cartesian
-5.023 -6.251 -1.355
-6.700 -5.109 7.000
-8.817 -2.584 6.537
-4.669 -8.740 2.229
-6.511 -3.347 4.185
-10.092 -6.623 4.168
-1.414 -8.540 2.926
-7.329 -5.487 0.997
-7.139 -3.726 -1.819
-12.426 -0.295 2.256
-5.586 -1.945 7.066
-8.254 -6.890 -1.884
-10.121 -1.058 -0.096
-3.748 -2.212 1.014
-9.170 -0.095 2.953
-3.719 -7.777 5.278
-6.914 -3.245 6.187
-3.753 -0.268 0.378
-10.086 -8.566 4.804
-6.926 -5.590 -1.005
-3.938 -5.401 1.862
-13.396 -6.260 4.136
-6.794 -6.773 4.124
-3.598 -1.530 4.264
-7.046 -2.061 1.058
-9.948 -5.729 7.343
-0.444 -2.574 1.046
-10.242 -7.305 0.918
-9.902 -3.434 3.319
-6.661 0.702 5.154
-3.892 -3.106 -2.161
-7.179 -9.537 0.028
```

Computed properties:
Space group: No. 62
E_form: -1176 meV per atom

=====

[2]
The following is a DFT calculation (r2SCAN) of Rb3Zr2P5S18 after structural relaxation.

Geometry as POSCAR:
```
Rb3Zr2P5S18
1.0
-1.291 0.280 -6.744
6.708 -1.138 -0.967
-3.781 -33.552 -2.998
Rb S P Zr
6 36 10 4
Cartesian
2.773 -12.927 -5.479
1.117 -8.843 -1.662
-2.685 -25.281 -4.541
-0.543 -29.451 -8.007
1.099 -2.577 -0.538
-2.295 -19.086 -3.123
2.891 -15.860 -3.360
-0.695 -14.384 -5.721
-3.350 -32.773 -4.042
0.844 -5.441 -2.959
2.854 -3.354 -5.349
4.109 -4.213 -2.530
-0.491 -11.023 -6.029
2.674 -16.240 -7.080
5.011 -5.658 -6.007
1.004 -5.878 -6.218
-0.285 -17.433 -5.746
1.498 -20.225 -6.461
3.339 -0.965 -2.996
4.401 -7.304 -2.716
0.219 -32.915 -8.987
4.060 -10.650 -3.154
0.963 -22.052 -9.064
-0.866 -16.103 -2.115
0.112 -18.235 -8.837
1.343 -28.459 -4.838
-2.703 -12.568 -7.833
-3.217 -31.888 -7.905
-2.298 -23.228 -7.688
3.305 -30.744 -3.627
-3.945 -29.668 -5.946
5.916 -2.153 -4.512
0.347 -31.680 -5.101
-1.681 -20.298 -6.845
-0.951 -7.846 -4.410
2.262 -23.212 -5.442
0.213 -24.949 -6.873
2.529 -8.248 -5.068
-0.623 -22.293 -4.152
-2.556 -26.589 -8.065
1.785 -13.572 -1.673
0.694 -25.248 -3.355
-1.405 -25.005 -8.088
4.059 -2.660 -3.856
-0.242 -5.862 -4.631
3.244 -15.685 -8.949
1.855 -30.324 -5.166
1.920 -32.562 -10.038
-0.759 -12.750 -6.921
4.110 -8.872 -3.971
1.149 -23.219 -3.760
-0.079 -19.038 -6.978
0.209 -15.818 -7.746
3.013 -5.766 -4.354
1.644 -33.184 -6.842
-0.023 -22.339 -6.680
```

Computed properties:
Space group: No. 9
E_form: -921 meV per atom

=====

[3]
The following is a DFT calculation (r2SCAN) of Rb4P2Se9 after structural relaxation.

Geometry as POSCAR:
```
Rb4P2Se9
1.0
5.316 4.894 -0.001
-5.316 4.894 -0.001
0.000 1.088 19.300
Se P Rb
18 4 8
Cartesian
4.244 5.710 14.473
-4.244 5.166 4.823
-2.114 7.584 16.567
0.185 10.446 16.451
-0.186 9.901 6.801
1.358 4.386 13.064
0.339 8.469 19.144
-0.339 7.924 9.494
-2.114 3.836 12.380
-0.338 2.408 0.153
-1.358 6.490 6.233
0.186 0.975 12.496
-1.358 3.842 3.414
1.358 7.035 15.883
0.338 2.952 9.803
2.114 3.292 2.730
2.114 7.040 6.917
-0.186 0.431 2.846
0.081 7.637 7.370
-0.081 3.239 11.927
-0.081 8.182 17.020
0.081 2.695 2.277
0.993 3.680 6.189
0.993 6.652 3.458
-0.993 7.196 13.108
-2.638 5.238 0.494
2.638 5.782 10.144
2.638 5.638 18.803
-2.638 5.094 9.153
-0.993 4.224 15.839
```

Computed properties:
Space group: No. 15
E_form: -795 meV per atom

=====

[4]
The following is a DFT calculation (r2SCAN) of RbPSe6 after structural relaxation.

Geometry as POSCAR:
```
RbPSe6
1.0
-1.640 -1.639 -6.577
9.979 -5.911 -1.016
-5.526 -9.994 3.869
Se Rb P
24 4 4
Cartesian
3.712 -11.588 -1.163
3.993 -14.963 0.959
5.884 -5.548 -0.657
2.285 -7.287 -0.093
-5.579 -9.702 -0.305
6.118 -8.941 -1.138
5.902 -10.818 -4.398
1.734 -11.931 -4.283
-2.630 -4.520 -1.498
6.221 -6.845 -4.116
-4.468 -11.169 -2.925
0.746 -10.242 -1.748
-2.664 -11.141 0.316
2.596 -4.819 -5.068
-1.524 -13.330 -2.354
0.687 -8.963 0.289
2.254 -3.950 -1.417
9.061 -7.013 -1.851
5.251 -13.055 -4.113
2.530 -14.762 -2.508
3.695 -5.060 -2.941
-0.318 -4.787 0.700
-0.155 -6.397 -2.637
-1.334 -9.771 -2.788
3.111 -8.545 -3.712
0.954 -12.936 0.656
-0.548 -3.183 -4.136
-2.704 -7.574 0.232
-2.628 -11.360 -1.822
6.749 -6.960 -2.035
3.271 -12.671 -2.967
0.850 -5.649 -0.891
```

Computed properties:
Space group: No. 29
E_form: -418 meV per atom

=====

[5]
The following is a DFT calculation (r2SCAN) of Rb5SnP3Se15 after structural relaxation.

Geometry as POSCAR:
```
Rb5SnP3Se15
1.0
-3.248 -6.078 2.553
-7.678 8.998 1.243
-5.568 -0.745 -18.582
P Se Rb Sn
6 30 10 2
Cartesian
-8.981 2.898 -2.269
-11.166 6.070 -16.206
-6.639 -2.980 -5.865
-9.855 5.155 -8.921
-5.327 -3.896 1.420
-7.513 -0.724 -12.517
-8.976 3.200 -8.659
-5.355 -0.184 -12.696
-12.563 0.232 -14.737
-3.931 1.942 -0.049
-9.803 4.663 -13.184
-8.306 -0.278 -10.541
-13.888 5.359 -13.021
-7.321 6.486 1.099
-7.773 2.063 -0.690
-7.518 -1.026 -6.127
-9.015 5.186 -2.379
-6.621 -4.219 -7.624
-11.234 4.136 -14.983
-11.139 2.359 -2.091
-4.623 -2.941 -4.913
-9.873 6.393 -7.162
-2.606 -3.184 -1.765
-7.479 -3.012 -12.407
-11.871 5.116 -9.873
-3.728 0.325 -6.124
-8.187 2.452 -4.245
-6.691 -2.488 -1.602
-8.721 0.112 -14.096
-4.825 2.244 -6.831
-11.669 -0.069 -7.955
-1.822 0.513 -2.587
-5.260 -1.961 0.197
-14.672 1.662 -12.199
-9.173 -4.311 -15.885
-12.766 1.850 -8.662
-7.353 -1.297 -16.948
-11.090 -2.741 -13.498
-9.140 3.471 2.162
-11.275 3.285 -5.688
-6.453 3.000 -11.166
-5.428 0.465 -3.067
-5.404 4.916 -1.288
-5.219 -1.110 -9.098
-10.041 -0.826 -3.620
-11.066 1.709 -11.719
-4.890 -4.358 -2.555
-11.604 6.533 -12.231
```

Computed properties:
Space group: No. 2
E_form: -697 meV per atom

=====

[6]
The following is a DFT calculation (r2SCAN) of RbZn4P3 after structural relaxation.

Geometry as POSCAR:
```
RbZn4P3
1.0
-4.022 -0.238 -0.190
0.304 -3.267 -2.347
-0.040 -5.894 8.200
Zn Rb P
4 1 3
Cartesian
0.146 -2.556 0.110
-2.045 -5.090 6.822
-2.017 -1.041 1.188
0.119 -6.605 5.743
-0.020 -2.947 4.100
-1.887 -5.974 4.605
-1.870 -3.425 1.058
0.000 0.000 0.000
```

Computed properties:
Space group: No. 123
E_form: -386 meV per atom

=====

[7]
The following is a DFT calculation (r2SCAN) of Re3P4 after structural relaxation.

Geometry as POSCAR:
```
Re3P4
1.0
2.944 0.000 -0.729
-0.590 5.522 -2.383
-0.007 0.011 6.282
P Re
4 3
Cartesian
2.353 3.123 3.193
1.016 0.137 4.101
1.332 5.396 -0.931
-0.006 2.410 -0.023
1.762 3.767 0.805
0.586 1.766 2.365
0.000 0.000 0.000
```

Computed properties:
Space group: No. 12
E_form: -419 meV per atom

=====

[8]
The following is a DFT calculation (r2SCAN) of ReP4 after structural relaxation.

Geometry as POSCAR:
```
ReP4
1.0
6.247 0.000 0.000
0.000 9.258 0.000
0.000 0.000 10.869
P Re
32 8
Cartesian
1.522 8.856 9.983
3.132 2.699 6.193
5.070 0.487 8.276
1.177 5.117 8.028
1.177 8.771 2.594
5.070 4.142 2.841
0.388 2.623 2.565
1.946 0.487 8.028
4.725 0.402 0.886
2.736 6.636 7.999
2.736 7.252 2.565
1.601 4.227 9.983
5.859 6.636 8.304
1.601 0.402 4.548
4.301 5.117 8.276
0.009 2.699 10.111
4.646 8.856 6.321
3.115 7.328 10.111
4.646 5.032 0.886
3.511 2.007 8.304
0.388 2.007 7.999
5.859 7.252 2.870
3.132 1.931 0.759
4.301 8.771 2.841
6.238 6.560 0.759
0.009 1.931 4.676
1.522 5.032 4.548
4.725 4.227 6.321
6.238 7.328 6.193
3.511 2.623 2.870
3.115 6.560 4.676
1.946 4.142 2.594
5.483 8.244 10.043
3.887 1.014 4.609
5.483 5.643 4.609
0.764 1.014 0.826
2.360 5.643 0.826
0.764 3.615 6.261
3.887 3.615 10.043
2.360 8.244 6.261
```

Computed properties:
Space group: No. 61
E_form: -388 meV per atom

=====

[9]
The following is a DFT calculation (r2SCAN) of P3Rh after structural relaxation.

Geometry as POSCAR:
```
P3Rh
1.0
6.548 0.000 -2.315
-3.274 5.671 -2.315
0.000 0.000 6.945
P Rh
12 4
Cartesian
0.492 4.881 1.315
2.782 0.790 1.000
1.655 4.446 -2.341
-0.251 2.015 2.290
4.678 0.790 2.341
3.525 3.656 0.026
4.473 2.015 -1.315
0.707 2.804 -1.000
-1.199 3.656 3.630
-1.404 4.881 -0.026
1.619 1.225 4.656
2.567 2.867 3.315
0.000 0.000 3.473
1.637 2.835 1.158
3.274 0.000 -1.158
-1.637 2.835 -1.158
```

Computed properties:
Space group: No. 204
E_form: -652 meV per atom

=====

[10]
The following is a DFT calculation (r2SCAN) of PRh2 after structural relaxation.

Geometry as POSCAR:
```
PRh2
1.0
-0.448 2.633 -2.837
-2.983 2.503 0.119
0.650 3.773 0.724
Rh P
2 1
Cartesian
-0.695 2.227 -0.499
-2.086 6.682 -1.496
0.000 0.000 0.000
```

Computed properties:
Space group: No. 225
E_form: -825 meV per atom

=====

[11]
The following is a DFT calculation (r2SCAN) of Y2P7Rh12 after structural relaxation.

Geometry as POSCAR:
```
Y2P7Rh12
1.0
4.760 -8.244 0.000
4.760 8.244 0.000
0.000 0.000 3.861
Rh P Y
12 7 2
Cartesian
4.965 -6.095 0.963
3.960 0.561 0.964
4.555 6.095 2.898
5.560 -0.561 2.897
1.759 -1.252 0.963
2.466 -3.149 2.897
7.761 1.252 2.898
6.254 -4.534 2.897
7.556 -0.897 0.963
1.963 0.897 2.898
7.054 3.149 0.964
3.266 4.534 0.964
6.230 0.987 0.943
2.500 2.356 0.943
3.969 -4.902 2.918
7.020 -2.356 2.918
4.760 -8.244 1.931
3.290 -0.987 2.918
5.550 4.902 0.943
4.760 2.748 2.894
4.760 -2.748 0.967
```

Computed properties:
Space group: No. 147
E_form: -1003 meV per atom

=====

[12]
The following is a DFT calculation (r2SCAN) of ZrPRh after structural relaxation.

Geometry as POSCAR:
```
ZrPRh
1.0
-3.341 1.800 -0.164
0.686 1.840 6.218
3.438 6.179 -2.208
Zr P Rh
4 4 4
Cartesian
-0.197 1.614 -0.275
0.159 6.426 1.319
0.980 8.206 4.121
0.625 3.393 2.527
-1.043 4.125 0.530
2.362 6.354 -0.358
1.826 5.694 3.315
-1.578 3.466 4.204
1.198 4.191 -0.388
-0.414 5.629 4.233
-2.046 2.392 1.952
2.830 7.428 1.893
```

Computed properties:
Space group: No. 62
E_form: -1386 meV per atom

=====

[13]
The following is a DFT calculation (r2SCAN) of Si4P4Ru after structural relaxation.

Geometry as POSCAR:
```
Si4P4Ru
1.0
4.598 0.000 1.832
1.835 5.321 0.440
0.000 -0.001 6.176
P Si Ru
4 4 1
Cartesian
0.768 0.086 2.273
1.991 1.212 5.408
3.605 2.190 2.078
4.707 3.418 5.168
1.720 1.829 3.256
4.504 4.124 2.968
5.665 5.172 6.230
2.746 3.162 6.358
6.427 5.310 8.442
```

Computed properties:
Space group: No. 1
E_form: -401 meV per atom

=====

[14]
The following is a DFT calculation (r2SCAN) of SrP2Ru2 after structural relaxation.

Geometry as POSCAR:
```
SrP2Ru2
1.0
3.815 0.000 -1.299
-0.442 3.790 -1.299
0.039 0.044 6.366
Ru P Sr
2 2 1
Cartesian
0.641 2.864 1.884
2.770 0.969 1.884
2.207 2.479 0.228
1.205 1.354 3.539
0.000 0.000 0.000
```

Computed properties:
Space group: No. 139
E_form: -1022 meV per atom